Material: NiSO9
Method: DFT, PBE+U
State: relaxed

Output
* formation enthalpy at 0 K: -0.07 eV/atom
* polymorph energy (0 for the lowest one): 496.0 meV/atom

Unit cell a=5.7955 b=5.7955 c=5.7955 alpha=98.13 beta=98.13 gamma=98.13
Sites, in units of the cell vectors:
Ni1 0.0000 0.0000 0.0000
S1 0.4505 0.4505 0.4505
O1 0.0243 0.3030 0.9472
O2 0.0809 0.9306 0.7095
O3 0.2632 0.5198 0.5682
O4 0.3030 0.9472 0.0243
O5 0.5198 0.5682 0.2632
O6 0.5682 0.2632 0.5198
O7 0.7095 0.0809 0.9306
O8 0.9306 0.7095 0.0809
O9 0.9472 0.0243 0.3030